Record 1
Li2SnP6O18, optimized geometry, DFT PBE-GGA; ΔE_f = -2487 meV/atom
1.0
-4.069 -6.348 0.874
6.988 -0.197 3.118
-4.102 4.995 4.163
O P Li Sn
18 6 2 1
Direct
0.934 0.846 0.738
0.668 0.801 0.432
0.640 0.122 0.252
0.002 0.202 0.532
0.349 0.229 0.650
0.705 0.487 0.439
0.334 0.876 0.761
0.010 0.800 0.444
0.882 0.438 0.199
0.104 0.274 0.892
0.742 0.207 0.697
0.080 0.545 0.777
0.472 0.711 0.961
0.227 0.751 0.249
0.204 0.194 0.301
0.492 0.300 0.075
0.319 0.535 0.591
0.867 0.719 0.087
0.007 0.688 0.224
0.815 0.741 0.515
0.965 0.296 0.732
0.226 0.281 0.505
0.317 0.680 0.790
0.670 0.318 0.232
0.516 0.963 0.423
0.721 0.867 0.165
0.242 0.095 0.831

Record 2
LiSn2P5O16, optimized geometry, DFT PBE-GGA; ΔE_f = -2446 meV/atom; polymorph energy (0 for the lowest one) = 0.000 eV per atom
1.0
7.190 0.000 0.000
0.000 5.201 0.000
0.000 0.819 19.027
Sn O P Li
4 32 10 2
Direct
0.841 0.256 0.909
0.161 0.744 0.089
0.159 0.256 0.409
0.839 0.744 0.589
0.419 0.439 0.376
0.608 0.210 0.709
0.431 0.046 0.084
0.692 0.274 0.149
0.581 0.439 0.876
0.014 0.600 0.377
0.870 0.982 0.071
0.130 0.982 0.571
0.096 0.031 0.922
0.308 0.274 0.649
0.026 0.383 0.120
0.776 0.434 0.024
0.224 0.434 0.524
0.986 0.600 0.877
0.684 0.747 0.361
0.846 0.840 0.702
0.794 0.607 0.483
0.143 0.152 0.301
0.412 0.831 0.292
0.392 0.210 0.209
0.421 0.534 0.108
0.615 0.888 0.926
0.385 0.888 0.426
0.588 0.831 0.792
0.316 0.747 0.861
0.569 0.046 0.584
0.579 0.534 0.608
0.974 0.383 0.620
0.904 0.031 0.422
0.206 0.607 0.983
0.154 0.840 0.202
0.857 0.152 0.801
0.526 0.262 0.632
0.140 0.746 0.914
0.851 0.268 0.087
0.149 0.268 0.587
0.260 0.005 0.251
0.535 0.724 0.870
0.474 0.262 0.132
0.465 0.724 0.370
0.860 0.746 0.414
0.740 0.005 0.751
0.631 0.791 0.034
0.369 0.791 0.534

Record 3
LiSnP2O7, optimized geometry, DFT PBE-GGA; ΔE_f = -2451 meV/atom; polymorph energy (0 for the lowest one) = 0.053 eV per atom
1.0
5.185 0.000 0.000
0.000 8.929 0.000
0.000 6.344 12.972
Li O P Sn
4 28 8 4
Direct
0.468 0.505 0.580
0.532 0.505 0.080
0.004 0.923 0.202
0.996 0.923 0.702
0.997 0.317 0.259
0.357 0.963 0.110
0.855 0.278 0.432
0.517 0.515 0.938
0.701 0.175 0.909
0.110 0.027 0.892
0.604 0.716 0.563
0.310 0.814 0.349
0.880 0.161 0.148
0.800 0.836 0.109
0.789 0.758 0.339
0.200 0.836 0.609
0.099 0.477 0.577
0.396 0.716 0.063
0.483 0.515 0.438
0.690 0.814 0.849
0.003 0.317 0.759
0.299 0.175 0.409
0.460 0.668 0.244
0.120 0.161 0.648
0.145 0.278 0.932
0.682 0.303 0.632
0.540 0.668 0.744
0.318 0.303 0.132
0.643 0.963 0.610
0.901 0.477 0.077
0.890 0.027 0.392
0.211 0.758 0.839
0.022 0.311 0.149
0.990 0.191 0.879
0.978 0.311 0.649
0.512 0.689 0.348
0.488 0.689 0.848
0.511 0.804 0.125
0.489 0.804 0.625
0.010 0.191 0.379
0.489 0.225 0.018
0.511 0.225 0.518
0.997 0.772 0.970
0.003 0.772 0.470

Record 4
Li3SnP6O18, optimized geometry, DFT PBE-GGA; ΔE_f = -2518 meV/atom
1.0
-5.355 1.196 -4.689
-1.355 -7.301 1.084
-1.350 4.315 6.069
O P Li Sn
18 6 3 1
Direct
0.746 0.375 0.876
0.545 0.320 0.509
0.732 0.767 0.274
0.917 0.094 0.287
0.442 0.686 0.489
0.447 0.992 0.799
0.071 0.882 0.708
0.740 0.858 0.844
0.208 0.899 0.441
0.537 0.008 0.207
0.402 0.647 0.799
0.269 0.194 0.155
0.642 0.344 0.215
0.059 0.524 0.311
0.257 0.641 0.124
0.253 0.235 0.759
0.788 0.118 0.567
0.914 0.500 0.670
0.489 0.227 0.259
0.764 0.346 0.672
0.511 0.784 0.742
0.227 0.015 0.687
0.753 0.983 0.324
0.233 0.676 0.322
0.162 0.693 0.872
0.863 0.635 0.464
0.474 0.488 0.958
0.906 0.208 0.073

Record 5
LiSnP2O7, optimized geometry, DFT PBE-GGA; ΔE_f = -2452 meV/atom; polymorph energy (0 for the lowest one) = 0.052 eV per atom
1.0
5.224 0.000 0.000
0.275 7.158 0.000
0.304 3.306 8.013
O P Sn Li
14 4 2 2
Direct
0.632 0.033 0.673
0.954 0.053 0.252
0.881 0.354 0.768
0.071 0.931 0.806
0.241 0.348 0.158
0.149 0.658 0.215
0.262 0.113 0.005
0.547 0.441 0.339
0.101 0.310 0.454
0.438 0.995 0.300
0.764 0.658 0.828
0.851 0.702 0.529
0.445 0.525 0.684
0.661 0.863 0.991
0.227 0.115 0.179
0.783 0.887 0.821
0.263 0.442 0.301
0.732 0.556 0.694
0.244 0.244 0.720
0.752 0.785 0.274
0.753 0.164 0.431
0.289 0.835 0.000